First-principles (PBE-GGA) data for SiPbO2F6 after structural relaxation, as listed in the Materials Project database.

Properties
final energy	-4.710	eV/atom
DFT formation energy	-2.072	eV/atom

a b c (Å): 9.7069 9.7069 16.4222
angles (deg): 107.68 107.68 50.50
Positions (direct):
Si  0.0386  0.1814  0.4052
Si  0.1814  0.0386  0.9052
Si  0.3052  0.4565  0.3174
Si  0.4565  0.3052  0.8174
Si  0.5435  0.6948  0.1826
Si  0.6948  0.5435  0.6826
Si  0.8186  0.9614  0.0948
Si  0.9614  0.8186  0.5948
Pb  0.0641  0.2094  0.1644
Pb  0.2094  0.0641  0.6644
Pb  0.3028  0.4094  0.0541
Pb  0.4094  0.3028  0.5541
Pb  0.5906  0.6972  0.4459
Pb  0.6972  0.5906  0.9459
Pb  0.7906  0.9359  0.3356
Pb  0.9359  0.7906  0.8356
O  0.0063  0.5340  0.9317
O  0.1640  0.6437  0.9743
O  0.1929  0.8071  0.2500
O  0.2285  0.2729  0.6034
O  0.2729  0.2285  0.1034
O  0.3450  0.6550  0.7500
O  0.3563  0.8360  0.5257
O  0.4660  0.9937  0.5683
O  0.5340  0.0063  0.4317
O  0.6437  0.1640  0.4743
O  0.6550  0.3450  0.2500
O  0.7271  0.7715  0.8966
O  0.7715  0.7271  0.3966
O  0.8071  0.1929  0.7500
O  0.8360  0.3563  0.0257
O  0.9937  0.4660  0.0683
F  0.0279  0.7587  0.1102
F  0.0376  0.2255  0.3117
F  0.0409  0.1390  0.4985
F  0.0772  0.9065  0.6525
F  0.0935  0.9228  0.8475
F  0.1307  0.6859  0.3308
F  0.1390  0.0409  0.9985
F  0.1454  0.2799  0.4596
F  0.1501  0.4164  0.2628
F  0.1680  0.6108  0.5833
F  0.2255  0.0376  0.8117
F  0.2296  0.4777  0.8002
F  0.2413  0.9721  0.3898
F  0.2799  0.1454  0.9596
F  0.2878  0.4379  0.4131
F  0.3141  0.8693  0.1692
F  0.3218  0.4765  0.2193
F  0.3892  0.8320  0.9167
F  0.4164  0.1501  0.7628
F  0.4379  0.2878  0.9131
F  0.4583  0.5012  0.3688
F  0.4765  0.3218  0.7193
F  0.4777  0.2296  0.3002
F  0.4988  0.5417  0.1312
F  0.5012  0.4583  0.8688
F  0.5223  0.7704  0.6998
F  0.5235  0.6782  0.2807
F  0.5417  0.4988  0.6312
F  0.5621  0.7122  0.0869
F  0.5836  0.8499  0.2372
F  0.6108  0.1680  0.0833
F  0.6782  0.5235  0.7807
F  0.6859  0.1307  0.8308
F  0.7122  0.5621  0.5869
F  0.7201  0.8546  0.0404
F  0.7587  0.0279  0.6102
F  0.7704  0.5223  0.1998
F  0.7745  0.9624  0.1883
F  0.8320  0.3892  0.4167
F  0.8499  0.5836  0.7372
F  0.8546  0.7201  0.5404
F  0.8610  0.9591  0.0015
F  0.8693  0.3141  0.6692
F  0.9065  0.0772  0.1525
F  0.9228  0.0935  0.3475
F  0.9591  0.8610  0.5015
F  0.9624  0.7745  0.6883
F  0.9721  0.2413  0.8898